# K2NdAgF6

Crystalline K2NdAgF6 at its relaxed geometry (PBE, Materials Project).

```
K2NdAgF6
1.0
0.000 4.707 4.707
4.707 0.000 4.707
4.707 4.707 0.000
K Nd Ag F
2 1 1 6
direct
0.250 0.250 0.250 K
0.750 0.750 0.750 K
0.000 0.000 0.000 Nd
0.500 0.500 0.500 Ag
0.241 0.241 0.759 F
0.241 0.759 0.241 F
0.241 0.759 0.759 F
0.759 0.241 0.241 F
0.759 0.241 0.759 F
0.759 0.759 0.241 F
```

E (MP2020) in eV/cell: -52.3
SG: Fm-3m, No. 225
Calculated total energy in eV per atom: -4.95
Formation energy from the elements in kJ/mol of formula units: -2989
Crystal system: cubic

# YMg

Crystalline YMg at its relaxed geometry (PBE, Materials Project).

```
YMg
1.0
5.391 0.000 0.000
0.000 3.764 0.000
0.000 0.000 5.412
Y Mg
2 2
direct
0.250 0.000 0.242 Y
0.750 0.000 0.758 Y
0.250 0.500 0.739 Mg
0.750 0.500 0.261 Mg
```

SG: Pmma, No. 51
Calculated total energy in eV per atom: -4.14
Formation energy from the elements in kJ/mol of formula units: -21
Crystal system: orthorhombic

# KCaCeSbO6

Crystalline KCaCeSbO6 at its relaxed geometry (PBE, Materials Project).

```
KCaCeSbO6
1.0
0.000 4.213 4.213
4.213 0.000 4.213
4.213 4.213 0.000
K Ca Ce Sb O
1 1 1 1 6
direct
0.000 0.000 0.000 K
0.500 0.500 0.500 Ca
0.250 0.250 0.250 Ce
0.750 0.750 0.750 Sb
0.513 0.513 0.987 O
0.513 0.987 0.513 O
0.513 0.987 0.987 O
0.987 0.513 0.513 O
0.987 0.513 0.987 O
0.987 0.987 0.513 O
```

E (MP2020) in eV/cell: -70.6
SG: F-43m, No. 216
Calculated total energy in eV per atom: -6.64
Formation energy from the elements in kJ/mol of formula units: -2672
Crystal system: cubic

# Er3Sc2S7

Crystalline Er3Sc2S7 at its relaxed geometry (PBE, Materials Project).

```
Er3Sc2S7
1.0
6.170 -1.853 0.000
6.170 1.853 0.000
-2.893 0.000 10.934
Er Sc S
3 2 7
direct
0.000 0.000 0.000 Er
0.304 0.304 0.198 Er
0.696 0.696 0.802 Er
0.112 0.112 0.429 Sc
0.888 0.888 0.571 Sc
0.033 0.033 0.778 S
0.262 0.262 0.641 S
0.338 0.338 0.948 S
0.500 0.500 0.500 S
0.662 0.662 0.052 S
0.738 0.738 0.359 S
0.967 0.967 0.222 S
```

E (MP2020) in eV/cell: -82.9
SG: C2/m, No. 12
Calculated total energy in eV per atom: -6.61
Formation energy from the elements in kJ/mol of formula units: -2657
Crystal system: monoclinic

Which of these has the highest formation energy from the elements?
YMg

What is the formation energy from the elements in the third record?
-2672 kJ/mol of formula units

Look up the formation energy from the elements of the first one.
-2989 kJ/mol of formula units